Material: Sc2TcAg
Method: DFT, r²SCAN
State: relaxed

Results
Mass density = 6.8 Mg/m³
Space group = Fm-3m
ΔE_f = -0.22 eV per atom

Cell lengths 4.6734, 4.6734, 4.6734 Å; angles 60.00, 60.00, 60.00 degrees
With the nearest neighbours (Å) after each atom.
Positions (direct):
Sc1 0.2500 0.2500 0.2500  4 Tc 2.86, 4 Ag 2.86
Sc2 0.7500 0.7500 0.7500  4 Tc 2.86, 4 Ag 2.86
Tc1 0.0000 0.0000 0.0000  8 Sc 2.86
Ag1 0.5000 0.5000 0.5000  8 Sc 2.86